# NdCoGe3, relaxed, DFT r²SCAN
data_NdCoGe3
_chemical_formula_sum 'Nd2 Co2 Ge6'
_space_group_name_H-M_alt 'I 4 m m'
_space_group_IT_number 107
_space_group_name_Hall 'I 4 -2'
_cell_length_a 4.291
_cell_length_b 4.291
_cell_length_c 9.818
_cell_angle_alpha 90.00
_cell_angle_beta 90.00
_cell_angle_gamma 90.00
loop_
_atom_site_label
_atom_site_fract_x
_atom_site_fract_y
_atom_site_fract_z
Nd1 0.000 0.000 0.000
Co1 0.000 0.000 0.333
Ge1 0.000 0.000 0.565
Ge2 0.000 0.500 0.241
# - E_tot (eV per atom) = -17.3918
# - crystal system = tetragonal
# - M_tot (μB/cell) = 0.00